The following is a GGA-PBE calculation of a geometry-optimized LiIrN2 structure, from the Materials Project database.

Calculated values
**Density**: 7.51 Mg/m³
**Energy of formation from the pure elements**: 38 meV/atom
**E (MP2020)**: -6.817 eV per atom
**Total moment**: 0.00 μB per atom
**Energy relative to the lowest polymorph listed for this composition**: 0.07 eV/f.u.

Cell lengths 5.706, 6.593, 5.343 Å; angles 90.00, 90.00, 90.00 degrees
Space group Pna2_1 (No. 33)
One atom of each set of equivalent atoms:
Li: 0.091 0.127 0.000 [4 per cell]
Ir: 0.078 0.642 0.013 [4 per cell]
N: 0.058 0.598 0.363 [4 per cell]
N: 0.105 0.130 0.399 [4 per cell]

=====

The following is a GGA-PBE calculation of a geometry-optimized ErOs2 structure, from the Materials Project database.

Calculated values
**Density**: 16.92 Mg/m³
**Energy of formation from the pure elements**: -348 meV/atom
**Total moment**: 0.03 μB per atom

Cell lengths 5.3203, 5.3203, 8.7720 Å; angles 90.00, 90.00, 120.00 degrees
Space group P6_3/mmc (No. 194)
One atom of each set of equivalent atoms:
Er: 0.3333 0.6667 0.0656 [4 per cell]
Os: 0.0000 0.0000 0.0000 [2 per cell]
Os: 0.1731 0.3462 0.7500 [6 per cell]

=====

The following is a GGA-PBE calculation of a geometry-optimized KPd2F5 structure, from the Materials Project database.

Calculated values
**Density**: 4.42 Mg/m³
**Energy of formation from the pure elements**: -1878 meV/atom
**E (MP2020)**: -4.509 eV per atom

Cell lengths 6.322, 7.585, 10.870 Å; angles 90.00, 90.00, 90.00 degrees
Space group Pnma (No. 62)
One atom of each set of equivalent atoms:
K: 0.015 0.250 0.132 [4 per cell]
Pd: 0.000 0.000 0.500 [4 per cell]
Pd: 0.190 0.250 0.786 [4 per cell]
F: 0.047 0.250 0.404 [4 per cell]
F: 0.188 0.067 0.919 [8 per cell]
F: 0.199 0.056 0.661 [8 per cell]

=====

The following is a GGA-PBE calculation of a geometry-optimized Na6Zn2Si3Ge2S3O24 structure, from the Materials Project database.

Calculated values
**Density**: 3.21 Mg/m³
**Energy of formation from the pure elements**: -2206 meV/atom
**E (MP2020)**: -6.385 eV per atom
**Total moment**: 0.00 μB per atom

Cell lengths 8.868, 8.935, 21.862 Å; angles 89.84, 88.40, 61.16 degrees
Space group P1 (No. 1)
One atom of each set of equivalent atoms:
Na: 0.000 0.000 0.000 [1 per cell]
Na: 0.000 0.617 0.248 [1 per cell]
Na: 0.000 0.649 0.738 [1 per cell]
Na: 0.303 0.291 0.660 [1 per cell]
Na: 0.310 0.673 0.169 [1 per cell]
Na: 0.317 0.966 0.578 [1 per cell]
Na: 0.320 0.984 0.080 [1 per cell]
Na: 0.325 0.343 0.329 [1 per cell]
Na: 0.329 0.598 0.824 [1 per cell]
Na: 0.375 0.277 0.993 [1 per cell]
Na: 0.384 0.608 0.493 [1 per cell]
Na: 0.650 0.666 0.648 [1 per cell]
Na: 0.653 0.948 0.156 [1 per cell]
Na: 0.660 0.308 0.908 [1 per cell]
Na: 0.662 0.311 0.412 [1 per cell]
Na: 0.982 0.331 0.813 [1 per cell]
Na: 0.987 0.950 0.322 [1 per cell]
Na: 0.991 0.272 0.494 [1 per cell]
Zn: 0.030 0.614 0.891 [1 per cell]
Zn: 0.034 0.617 0.396 [1 per cell]
Zn: 0.302 0.982 0.220 [1 per cell]
Zn: 0.302 0.982 0.716 [1 per cell]
Zn: 0.653 0.308 0.059 [1 per cell]
Zn: 0.655 0.317 0.554 [1 per cell]
Si: 0.312 0.313 0.485 [1 per cell]
Si: 0.312 0.641 0.985 [1 per cell]
Si: 0.348 0.248 0.819 [1 per cell]
Si: 0.348 0.671 0.321 [1 per cell]
Si: 0.351 0.607 0.650 [1 per cell]
Si: 0.367 0.300 0.153 [1 per cell]
Si: 0.723 0.635 0.489 [1 per cell]
Si: 0.945 0.301 0.653 [1 per cell]
Si: 0.946 0.021 0.152 [1 per cell]
Ge: 0.015 0.586 0.590 [1 per cell]
Ge: 0.033 0.644 0.098 [1 per cell]
Ge: 0.350 0.960 0.922 [1 per cell]
Ge: 0.376 0.931 0.433 [1 per cell]
Ge: 0.627 0.307 0.743 [1 per cell]
Ge: 0.649 0.315 0.252 [1 per cell]
S: 0.006 0.341 0.988 [1 per cell]
S: 0.011 0.916 0.487 [1 per cell]
S: 0.026 0.265 0.322 [1 per cell]
S: 0.036 0.970 0.828 [1 per cell]
S: 0.627 0.971 0.321 [1 per cell]
S: 0.631 0.672 0.823 [1 per cell]
S: 0.682 0.000 0.655 [1 per cell]
S: 0.685 0.585 0.154 [1 per cell]
S: 0.707 0.912 0.987 [1 per cell]
O: 0.002 0.439 0.326 [1 per cell]
O: 0.003 0.824 0.834 [1 per cell]
O: 0.024 0.436 0.040 [1 per cell]
O: 0.035 0.798 0.538 [1 per cell]
O: 0.100 0.164 0.378 [1 per cell]
O: 0.126 0.993 0.884 [1 per cell]
O: 0.138 0.186 0.268 [1 per cell]
O: 0.141 0.155 0.659 [1 per cell]
O: 0.145 0.968 0.157 [1 per cell]
O: 0.149 0.931 0.773 [1 per cell]
O: 0.163 0.608 0.643 [1 per cell]
O: 0.170 0.399 0.546 [1 per cell]
O: 0.173 0.167 0.987 [1 per cell]
O: 0.174 0.689 0.049 [1 per cell]
O: 0.176 0.647 0.326 [1 per cell]
O: 0.178 0.931 0.487 [1 per cell]
O: 0.179 0.486 0.150 [1 per cell]
O: 0.181 0.439 0.825 [1 per cell]
O: 0.230 0.609 0.926 [1 per cell]
O: 0.245 0.434 0.426 [1 per cell]
O: 0.301 0.132 0.475 [1 per cell]
O: 0.307 0.833 0.979 [1 per cell]
O: 0.319 0.157 0.762 [1 per cell]
O: 0.324 0.781 0.261 [1 per cell]
O: 0.346 0.784 0.667 [1 per cell]
O: 0.353 0.130 0.166 [1 per cell]
O: 0.371 0.768 0.384 [1 per cell]
O: 0.374 0.132 0.885 [1 per cell]
O: 0.431 0.469 0.712 [1 per cell]
O: 0.457 0.350 0.211 [1 per cell]
O: 0.468 0.268 0.089 [1 per cell]
O: 0.472 0.529 0.591 [1 per cell]
O: 0.496 0.475 0.995 [1 per cell]
O: 0.500 0.287 0.497 [1 per cell]
O: 0.510 0.760 0.879 [1 per cell]
O: 0.512 0.997 0.377 [1 per cell]
O: 0.522 0.939 0.986 [1 per cell]
O: 0.523 0.471 0.315 [1 per cell]
O: 0.524 0.808 0.491 [1 per cell]
O: 0.526 0.276 0.813 [1 per cell]
O: 0.529 0.976 0.662 [1 per cell]
O: 0.537 0.759 0.162 [1 per cell]
O: 0.549 0.955 0.265 [1 per cell]
O: 0.555 0.763 0.767 [1 per cell]
O: 0.635 0.139 0.320 [1 per cell]
O: 0.639 0.500 0.825 [1 per cell]
O: 0.657 0.509 0.100 [1 per cell]
O: 0.661 0.108 0.603 [1 per cell]
O: 0.691 0.472 0.490 [1 per cell]
O: 0.693 0.085 0.984 [1 per cell]
O: 0.695 0.089 0.714 [1 per cell]
O: 0.705 0.481 0.211 [1 per cell]
O: 0.776 0.828 0.047 [1 per cell]
O: 0.801 0.829 0.327 [1 per cell]
O: 0.805 0.649 0.831 [1 per cell]
O: 0.808 0.332 0.717 [1 per cell]
O: 0.809 0.660 0.554 [1 per cell]
O: 0.809 0.811 0.934 [1 per cell]
O: 0.813 0.121 0.213 [1 per cell]
O: 0.838 0.620 0.430 [1 per cell]
O: 0.840 0.835 0.656 [1 per cell]
O: 0.847 0.600 0.151 [1 per cell]
O: 0.855 0.263 0.316 [1 per cell]
O: 0.860 0.306 0.993 [1 per cell]
O: 0.862 0.115 0.090 [1 per cell]
O: 0.865 0.281 0.592 [1 per cell]
O: 0.866 0.088 0.495 [1 per cell]
O: 0.874 0.134 0.825 [1 per cell]
O: 0.953 0.487 0.656 [1 per cell]
O: 0.953 0.822 0.152 [1 per cell]
O: 0.992 0.425 0.929 [1 per cell]
O: 0.999 0.850 0.427 [1 per cell]